VASP calculation (GGA+U) on a relaxed MoSF4 crystal.

The structure in POSCAR format:
```
MoSF4
1.0
11.5938 0.0000 0.0000
0.0000 8.7460 0.0000
0.0000 0.0000 29.1258
Mo S F
24 24 96
Cartesian
0.1124 1.0790 0.0000 Mo
0.6140 0.7521 9.2738 Mo
0.9206 0.4535 19.9336 Mo
1.1612 4.7291 1.9924 Mo
2.6988 3.8221 21.9247 Mo
2.7725 5.4252 27.1977 Mo
3.0244 5.4252 12.6348 Mo
3.0981 3.8221 7.3618 Mo
4.6357 4.7291 16.5553 Mo
4.8763 0.4535 5.3707 Mo
5.1829 0.7521 23.8367 Mo
5.6845 1.0790 14.5629 Mo
5.9093 7.6670 0.0000 Mo
6.4109 7.9938 9.2738 Mo
6.7175 8.2925 19.9336 Mo
6.9581 4.0169 1.9924 Mo
8.4957 4.9239 21.9247 Mo
8.5694 3.3207 27.1977 Mo
8.8213 3.3207 12.6348 Mo
8.8950 4.9239 7.3618 Mo
10.4326 4.0169 16.5553 Mo
10.6732 8.2925 5.3707 Mo
10.9798 7.9938 23.8367 Mo
11.4814 7.6670 14.5629 Mo
0.0637 3.9892 3.6028 S
0.4339 0.7695 24.8171 S
0.7942 0.6825 13.8839 S
0.9845 4.6535 26.4415 S
2.0394 1.0267 18.2635 S
2.1448 5.6200 7.8184 S
3.6521 5.6200 22.3813 S
3.7575 1.0267 3.7006 S
4.8124 4.6535 11.8786 S
5.0027 0.6825 28.4468 S
5.3630 0.7695 10.2541 S
5.7332 3.9892 18.1657 S
5.8606 4.7568 3.6028 S
6.2308 7.9765 24.8171 S
6.5911 8.0635 13.8839 S
6.7814 4.0925 26.4415 S
7.8363 7.7193 18.2635 S
7.9417 3.1260 7.8184 S
9.4490 3.1260 22.3813 S
9.5544 7.7193 3.7006 S
10.6093 4.0925 11.8786 S
10.7996 8.0635 28.4468 S
11.1599 7.9765 10.2541 S
11.5301 4.7568 18.1657 S
0.1943 3.2481 15.4847 F
0.2266 0.8500 4.6424 F
0.3390 0.2384 7.4164 F
0.5191 7.0686 5.3568 F
0.7336 6.6951 23.5859 F
0.9413 6.3505 13.5672 F
0.9562 7.2326 16.0574 F
1.0729 3.1994 0.7684 F
1.0983 4.4332 21.1395 F
1.2653 1.7633 10.7281 F
1.4427 1.4102 27.8245 F
1.4454 0.4133 1.1481 F
1.6412 6.4419 2.5939 F
1.6626 1.6290 21.3089 F
1.7124 3.4341 23.4975 F
1.7978 2.5436 8.0436 F
1.9767 5.5716 11.0656 F
1.9941 7.8418 20.6784 F
2.0678 3.8647 13.0796 F
2.3376 0.0027 9.0833 F
2.3544 5.5689 29.0929 F
2.4217 3.4444 5.6368 F
2.4611 7.2917 27.1149 F
2.8838 4.1239 16.9247 F
2.9131 4.1239 2.3618 F
3.3358 7.2917 12.5520 F
3.3752 3.4444 20.1997 F
3.4425 5.5689 14.5300 F
3.4593 0.0027 23.6463 F
3.7291 3.8647 27.6425 F
3.8028 7.8418 6.1155 F
3.8202 5.5716 25.6285 F
3.9991 2.5436 22.6065 F
4.0845 3.4341 8.9345 F
4.1343 1.6290 6.7460 F
4.1557 6.4419 17.1568 F
4.3515 0.4133 15.7110 F
4.3542 1.4102 13.2616 F
4.5316 1.7633 25.2910 F
4.6986 4.4332 6.5766 F
4.7240 3.1994 15.3313 F
4.8407 7.2326 1.4945 F
4.8556 6.3505 28.1301 F
5.0633 6.6951 9.0230 F
5.2778 7.0686 19.9197 F
5.4579 0.2384 21.9793 F
5.5703 0.8500 19.2053 F
5.6026 3.2481 0.9218 F
5.9912 5.4979 15.4847 F
6.0235 7.8960 4.6424 F
6.1359 8.5076 7.4164 F
6.3160 1.6774 5.3568 F
6.5305 2.0508 23.5859 F
6.7382 2.3955 13.5672 F
6.7531 1.5133 16.0574 F
6.8698 5.5465 0.7684 F
6.8952 4.3128 21.1395 F
7.0622 6.9826 10.7281 F
7.2396 7.3358 27.8245 F
7.2423 8.3327 1.1481 F
7.4381 2.3040 2.5939 F
7.4595 7.1170 21.3089 F
7.5093 5.3119 23.4975 F
7.5947 6.2024 8.0436 F
7.7736 3.1744 11.0656 F
7.7910 0.9042 20.6784 F
7.8647 4.8813 13.0796 F
8.1345 8.7432 9.0833 F
8.1513 3.1771 29.0929 F
8.2186 5.3016 5.6368 F
8.2580 1.4543 27.1149 F
8.6807 4.6220 16.9247 F
8.7100 4.6220 2.3618 F
9.1327 1.4543 12.5520 F
9.1721 5.3016 20.1997 F
9.2394 3.1771 14.5300 F
9.2562 8.7432 23.6463 F
9.5260 4.8813 27.6425 F
9.5997 0.9042 6.1155 F
9.6171 3.1744 25.6285 F
9.7960 6.2024 22.6065 F
9.8814 5.3119 8.9345 F
9.9312 7.1170 6.7460 F
9.9525 2.3040 17.1568 F
10.1484 8.3327 15.7110 F
10.1511 7.3358 13.2616 F
10.3285 6.9826 25.2910 F
10.4955 4.3128 6.5766 F
10.5209 5.5465 15.3313 F
10.6376 1.5133 1.4945 F
10.6525 2.3955 28.1301 F
10.8601 2.0508 9.0230 F
11.0747 1.6774 19.9197 F
11.2548 8.5076 21.9793 F
11.3672 7.8960 19.2053 F
11.3995 5.4979 0.9218 F
```

***

VASP calculation (GGA+U) on a relaxed NaMo3O11 crystal.

The structure in POSCAR format:
```
NaMo3O11
1.0
8.7913 0.0000 0.0000
0.0000 7.4562 0.0000
0.0000 0.0000 15.1821
Na Mo O
4 12 44
Cartesian
0.2431 1.8641 2.9376 Na
4.1526 5.5922 10.5286 Na
4.6387 1.8641 4.6535 Na
8.5482 5.5922 12.2445 Na
1.0277 3.7360 9.2330 Mo
1.0277 7.4483 9.2330 Mo
1.8323 1.8641 6.4726 Mo
2.5633 5.5922 14.0636 Mo
3.3679 0.0079 1.6420 Mo
3.3679 3.7202 1.6420 Mo
5.4234 3.7360 13.5401 Mo
5.4234 7.4483 13.5401 Mo
6.2279 1.8641 1.1185 Mo
6.9590 5.5922 8.7095 Mo
7.7636 0.0079 5.9491 Mo
7.7636 3.7202 5.9491 Mo
0.4361 0.1691 10.8494 O
0.4361 3.5590 10.8494 O
0.4548 5.5922 8.9172 O
0.9192 5.5922 14.5925 O
1.0767 1.8641 8.6497 O
1.1675 0.0154 6.8667 O
1.1675 3.7127 6.8667 O
1.6824 0.3418 1.8157 O
1.6824 3.3863 1.8157 O
1.9859 1.8641 4.7316 O
2.1166 1.8641 14.0069 O
2.2791 5.5922 6.4159 O
2.4098 5.5922 12.3227 O
2.7132 4.0699 9.4068 O
2.7132 7.1144 9.4068 O
3.2281 3.7435 14.4578 O
3.2281 7.4408 14.4578 O
3.3189 5.5922 1.0587 O
3.4764 1.8641 7.0015 O
3.9408 1.8641 1.3262 O
3.9595 3.8972 3.2583 O
3.9595 7.2871 3.2583 O
4.8318 0.1691 11.9237 O
4.8318 3.5590 11.9237 O
4.8504 5.5922 13.8559 O
5.3148 5.5922 8.1806 O
5.4724 1.8641 14.1234 O
5.5632 0.0154 0.7243 O
5.5632 3.7127 0.7243 O
6.0781 0.3418 5.7753 O
6.0781 3.3863 5.7753 O
6.3815 1.8641 2.8594 O
6.5122 1.8641 8.7662 O
6.6747 5.5922 1.1752 O
6.8054 5.5922 10.4505 O
7.1089 4.0699 13.3663 O
7.1089 7.1144 13.3663 O
7.6237 3.7435 8.3154 O
7.6237 7.4408 8.3154 O
7.7145 5.5922 6.5323 O
7.8721 1.8641 0.5896 O
8.3365 1.8641 6.2649 O
8.3552 3.8972 4.3327 O
8.3552 7.2871 4.3327 O
```

***

VASP calculation (GGA+U) on a relaxed MgMn4O8 crystal.

The structure in POSCAR format:
```
MgMn4O8
1.0
5.3121 0.0000 0.0000
0.0000 2.9234 0.0000
-0.3009 0.0000 9.2895
Mg Mn O
1 4 8
Cartesian
0.0000 0.0000 0.0000 Mg
0.6203 1.4617 5.2324 Mn
2.6725 1.4617 0.7195 Mn
3.1358 0.0000 7.1448 Mn
5.1975 0.0000 2.7923 Mn
-0.1837 0.0000 6.1648 O
0.6450 1.4617 1.6453 O
1.2904 0.0000 4.0807 O
1.6289 0.0000 8.9463 O
2.2867 1.4617 6.2381 O
3.7258 0.0000 1.4814 O
3.9647 1.4617 8.3149 O
4.5236 1.4617 3.8428 O
```

Summary:
The energy above the most stable polymorph in this dataset is 40.5 meV per atom.

***

VASP calculation (GGA+U) on a relaxed Li4V2Ni3Sn3O16 crystal.

The structure in POSCAR format:
```
Li4V2Ni3Sn3O16
1.0
5.2832 -3.0354 0.0000
5.2832 3.0354 0.0000
-0.0233 0.0000 9.6104
Li V Ni Sn O
4 2 3 3 16
Cartesian
0.0000 0.0000 0.0000 Li
0.0706 0.0000 4.6449 Li
3.2570 0.0000 3.8349 Li
6.9331 0.0000 8.6968 Li
3.3030 0.0000 9.5992 V
6.6564 0.0000 4.5562 V
1.7234 0.0000 6.8842 Ni
6.0429 1.4713 2.0231 Ni
6.0429 -1.4713 2.0231 Ni
4.2680 1.4997 6.8702 Sn
4.2680 -1.4997 6.8702 Sn
8.6113 0.0000 2.0754 Sn
2.6735 1.3093 8.2017 O
4.2216 1.4275 0.8321 O
1.8094 0.0000 0.8495 O
3.4060 0.0000 5.7623 O
6.1032 1.4130 5.6429 O
2.6735 -1.3093 8.2017 O
5.0256 0.0000 8.1064 O
5.3087 0.0000 3.4274 O
7.6414 1.3031 3.4125 O
4.2216 -1.4275 0.8321 O
6.9059 0.0000 1.0161 O
6.1032 -1.4130 5.6429 O
8.8151 0.0000 5.6874 O
7.6414 -1.3031 3.4125 O
10.4587 0.0000 2.8419 O
10.5332 0.0000 7.8053 O
```

***

VASP calculation (GGA+U) on a relaxed Mg6CdNiO8 crystal.

The structure in POSCAR format:
```
Mg6CdNiO8
1.0
4.3495 0.0000 0.0000
0.0000 4.3495 0.0000
0.0000 0.0000 8.6815
Mg Cd Ni O
6 1 1 8
Cartesian
0.0000 0.0000 0.0000 Mg
0.0000 0.0000 4.3407 Mg
0.0000 2.1748 2.1070 Mg
0.0000 2.1748 6.5745 Mg
2.1748 0.0000 2.1070 Mg
2.1748 0.0000 6.5745 Mg
2.1748 2.1748 4.3407 Cd
2.1748 2.1748 0.0000 Ni
0.0000 0.0000 2.1658 O
0.0000 0.0000 6.5156 O
0.0000 2.1748 0.0000 O
0.0000 2.1748 4.3407 O
2.1748 0.0000 0.0000 O
2.1748 0.0000 4.3407 O
2.1748 2.1748 2.0234 O
2.1748 2.1748 6.6580 O
```

Summary:
The energy above the most stable polymorph in this dataset is 0.0 meV per atom.

***

VASP calculation (GGA+U) on a relaxed Li2V3TeO8 crystal.

The structure in POSCAR format:
```
Li2V3TeO8
1.0
8.6166 0.0000 0.0000
0.0347 8.6781 0.0000
0.0448 0.0144 8.8484
Li V Te O
8 12 4 32
Cartesian
0.0000 0.0000 0.0000 Li
0.0567 4.3261 4.3776 Li
1.1541 1.1208 5.5274 Li
3.2057 7.5030 1.0912 Li
4.3500 4.3398 8.7758 Li
4.3947 8.6770 4.4200 Li
5.4638 3.1746 3.2588 Li
7.5088 5.4114 7.6707 Li
1.0784 5.4948 1.0852 V
1.1524 3.2734 7.5720 V
1.2425 7.5022 3.2734 V
3.1460 1.1434 7.6797 V
3.2008 5.3359 3.1613 V
3.2669 3.1286 5.4956 V
5.4046 7.4805 7.6676 V
5.4162 1.0350 1.2017 V
5.5355 5.4363 5.4814 V
7.4301 3.1438 1.0950 V
7.5393 7.5539 5.6443 V
7.5839 1.1565 3.2799 V
2.1308 2.1537 2.1913 Te
2.2322 6.4627 6.6168 Te
6.4774 2.1352 6.5817 Te
6.5070 6.5052 2.1650 Te
0.6031 3.5816 0.6363 O
0.9413 7.4360 1.4121 O
1.0107 5.5318 7.7977 O
1.0331 7.6703 5.7166 O
1.1600 5.5401 3.2087 O
1.2536 0.9379 3.4214 O
1.3229 1.2768 7.8558 O
1.3564 3.3290 5.6322 O
2.9831 5.2926 1.1967 O
3.0453 7.3685 3.4294 O
3.1345 7.6831 7.8319 O
3.2178 3.0985 7.6253 O
3.2977 0.9453 1.2772 O
3.3642 3.0864 3.3502 O
3.3940 1.1850 5.8148 O
3.6575 5.0273 5.0509 O
4.9433 0.7174 8.1443 O
5.3233 5.5670 7.4033 O
5.3048 7.4486 0.9769 O
5.3360 5.2915 3.0911 O
5.5980 7.5341 5.5479 O
5.5884 3.3095 5.3372 O
5.5977 3.0082 0.9362 O
5.6767 0.9329 3.1274 O
7.3643 7.7477 7.4865 O
7.3722 5.2937 0.9369 O
7.4869 5.7124 5.3754 O
7.5110 1.2013 1.1532 O
7.6530 3.3551 7.4908 O
7.6922 1.2043 5.4099 O
7.6910 3.0934 2.9632 O
8.0337 7.9149 3.7845 O
```

Summary:
The energy above the most stable polymorph in this dataset is 35.9 meV per atom.

***

VASP calculation (GGA+U) on a relaxed Li4TiNi3O8 crystal.

The structure in POSCAR format:
```
Li4TiNi3O8
1.0
5.8405 0.0000 0.0000
2.8767 5.1500 0.0000
2.7616 1.6508 9.5770
Li Ti Ni O
8 2 6 16
Cartesian
0.0000 0.0000 0.0000 Li
2.8191 3.4004 4.7885 Li
4.2552 2.5451 7.2215 Li
4.3076 4.2606 2.3929 Li
2.9202 0.0000 0.0000 Li
5.7394 3.4004 4.7885 Li
7.1711 2.5403 7.1841 Li
7.2236 4.2557 2.3555 Li
2.9456 1.6500 2.3533 Ti
8.5332 5.1509 7.2237 Ti
1.3808 0.8254 4.7885 Ni
1.4383 2.5750 0.0000 Ni
5.6601 5.1115 7.1776 Ni
4.3010 0.8254 4.7885 Ni
4.3586 2.5750 0.0000 Ni
5.8186 1.6894 2.3993 Ni
4.1864 4.4374 5.9466 O
2.7973 3.2867 1.2171 O
1.5056 0.8428 1.2997 O
2.8247 1.5260 5.8636 O
5.5787 3.5327 8.4366 O
4.2668 2.5282 3.4913 O
7.1577 5.9158 8.3220 O
5.8681 5.2149 3.6015 O
5.6107 1.5859 5.9755 O
4.3210 0.8850 1.2549 O
7.2119 4.2726 6.0857 O
5.9001 3.2681 1.1403 O
8.6541 5.2748 3.7134 O
9.9731 5.9580 8.2773 O
8.6814 3.5142 8.3599 O
7.2923 2.3634 3.6304 O
```

Summary:
The energy above the most stable polymorph in this dataset is 1.7 meV per atom.

***

VASP calculation (GGA+U) on a relaxed MnFe4CuO8 crystal.

The structure in POSCAR format:
```
MnFe4CuO8
1.0
0.0000 4.3011 4.3011
4.3011 0.0000 4.3011
4.3011 4.3011 0.0000
Mn Fe Cu O
1 4 1 8
Cartesian
0.0000 0.0000 0.0000 Mn
5.3774 3.2248 3.2248 Fe
3.2248 5.3774 3.2248 Fe
3.2248 3.2248 5.3774 Fe
5.3774 5.3774 5.3774 Fe
2.1505 2.1505 2.1505 Cu
3.3166 3.3166 3.3166 O
5.2856 5.2856 3.3166 O
5.2856 3.3166 5.2856 O
7.4123 5.4909 5.4909 O
3.3166 5.2856 5.2856 O
5.4909 7.4123 5.4909 O
5.4909 5.4909 7.4123 O
7.4123 7.4123 7.4123 O
```

***

VASP calculation (GGA+U) on a relaxed MgV4O8 crystal.

The structure in POSCAR format:
```
MgV4O8
1.0
5.3939 0.0000 0.0000
1.1877 5.6043 0.0000
1.2253 2.6533 5.1284
Mg V O
1 4 8
Cartesian
0.0000 0.0000 0.0000 Mg
2.9858 6.3572 2.2127 V
3.0570 4.8828 4.7635 V
5.5334 7.1591 4.3733 V
4.5781 3.2397 2.0336 V
2.0408 6.3718 4.0372 O
1.9520 0.2842 0.0890 O
3.2276 4.5446 2.8620 O
3.2817 3.0217 0.2324 O
3.4296 1.6759 2.6441 O
5.2726 4.6015 1.1068 O
5.4315 3.1585 3.6408 O
5.8940 1.8591 1.1297 O
```

Summary:
The energy above the most stable polymorph in this dataset is 103.6 meV per atom.

***

no.,M_tot (μB/f.u.),ΔE_f (eV/atom),DFT total energy (eV/atom)
1,0.00,-2.12,-4.96
2,3.00,-1.59,-6.33
3,14.01,-2.03,-7.08
4,6.00,-2.00,-6.01
5,2.00,-2.54,-5.53
6,5.00,-2.23,-6.75
7,4.00,-2.00,-5.71
8,24.00,-1.59,-6.63
9,6.00,-2.44,-7.46